DFT (GGA+U) results for a geometry-optimized Li7CrFe3P6O24 structure.

Computed properties:
* energy: -6.764 eV/atom

```
Li7CrFe3P6O24
1.0
7.5946 -4.4156 0.0000
7.5946 4.4156 0.0000
5.0273 0.0000 7.2043
Li Cr Fe P O
7 1 3 6 24
Cartesian
8.8140 -1.5926 1.1802
8.3470 2.3958 2.4907
7.4210 -0.8032 5.0891
10.5227 0.0000 3.7499
13.8653 0.8127 1.4225
12.4327 -3.2767 5.4427
11.9602 2.4640 6.7686
17.2915 0.0000 6.1620
7.0411 0.0000 2.5092
2.9523 0.0000 1.0521
13.0748 0.0000 4.6593
9.4141 1.2698 0.3077
8.3379 -3.1207 3.3275
7.5997 1.8509 5.3992
12.6407 -1.7982 1.7856
11.8738 3.1172 3.9376
10.8283 -1.3190 6.8715
9.2844 2.7898 0.6682
15.8425 0.7995 7.1971
8.9196 0.4802 1.5455
14.4948 0.6579 3.3946
8.8431 -3.5489 1.9066
8.2846 -1.5723 3.3274
13.8462 -1.7735 5.2147
8.0054 1.0921 4.1108
11.4574 -2.6872 1.3950
13.0873 -0.8496 0.6065
13.4636 1.1156 6.2881
10.9636 3.5364 2.7804
16.8108 0.8659 4.4799
6.7803 -1.1237 0.8322
7.2210 0.7591 6.4583
16.3460 -1.6654 5.7844
12.2215 -0.9196 2.9949
6.3557 1.8541 2.0238
11.8436 1.5696 4.0553
11.4099 3.7346 5.3135
5.7023 -0.7303 3.8572
9.4013 -0.8492 7.1647
11.3090 -0.6499 5.5557
10.9159 -2.8850 6.6997
```

=====

DFT (GGA+U) results for a geometry-optimized Li2CrFeP2O8 structure.

Computed properties:
* energy: -6.982 eV/atom

```
Li2CrFeP2O8
1.0
3.9302 -2.0470 1.7771
-3.1155 -9.2652 -4.5422
3.0372 1.4657 -4.9392
Li Cr Fe P O
4 2 2 4 16
Cartesian
3.9294 -2.0478 1.7747
5.4479 -1.3146 -0.6943
3.4444 -4.1904 -6.3202
1.9266 -4.9237 -3.8501
0.2790 -7.8158 -3.8937
3.5723 -2.0302 -3.8116
3.7489 -4.2475 -0.7431
0.0965 -5.5994 -6.9631
2.0826 -1.3905 -0.9616
1.7675 -8.4555 -6.7455
4.6086 -4.6068 -3.9283
-0.7547 -5.2395 -3.7720
4.9965 -0.6787 -2.6100
-1.1452 -9.1671 -5.0980
3.3308 -2.0949 -0.3998
0.5202 -7.7508 -7.3078
1.9227 -3.2439 -5.1627
1.9307 -6.6024 -2.5385
0.1604 -4.3068 -2.9341
3.6985 -5.5415 -4.7657
0.7287 -2.0820 -0.5156
2.0176 -1.4273 -2.5397
1.8331 -8.4189 -5.1675
3.1229 -7.7631 -7.1886
3.6905 -3.9619 -2.8101
4.9177 -3.3358 -4.8260
-1.0649 -6.5107 -2.8752
0.1616 -5.8848 -4.8925
```

=====

DFT (GGA+U) results for a geometry-optimized Li5Cr2Fe3P6O24 structure.

Computed properties:
* energy: -6.906 eV/atom

```
Li5Cr2Fe3P6O24
1.0
-4.8657 6.8815 -0.2339
-7.5426 -0.2793 4.1311
-1.0046 4.6846 7.4030
Li Cr Fe P O
5 2 3 6 24
Cartesian
-6.9146 5.5291 8.9446
-6.5601 6.1535 2.2861
-3.5751 6.1111 6.5948
-7.1713 2.2991 5.7753
-2.1277 1.8061 1.8797
-4.8770 6.8549 -0.1944
-6.7395 5.6577 5.6120
-11.4859 9.6103 9.6470
-8.6604 7.2920 7.2730
-4.6695 3.9604 3.8867
-8.9678 7.5088 3.8886
-5.4811 8.2122 7.9194
-8.8679 3.9982 7.8713
-4.4259 7.2738 3.4272
-7.8039 3.0226 3.2160
-4.5038 3.7245 7.4271
-9.0570 9.1395 6.9293
-10.4866 6.7046 7.3470
-10.2649 6.7166 3.4526
-8.2719 7.2174 9.2667
-7.8910 7.4005 2.8319
-8.4014 6.8959 5.2223
-5.2600 9.5338 7.0927
-6.6320 7.4001 7.2406
-4.6101 8.4179 4.4242
-8.1542 5.2908 7.2786
-5.0741 7.5186 2.0380
-10.0304 8.6087 10.4450
-4.2675 7.3031 7.9090
-8.1684 3.8848 9.2729
-5.1964 6.0176 4.0233
-8.5971 2.8882 6.8913
-6.7558 3.8370 4.0484
-8.1204 1.7375 4.0570
-5.0690 4.4352 6.1315
-5.5839 3.8630 8.5166
-4.8767 3.9933 1.9391
-3.1862 4.4800 7.7952
-2.8137 4.4553 4.0761
-4.5838 2.0749 4.3584
```

=====

DFT (GGA+U) results for a geometry-optimized Li8CrFe7P12O48 structure.

Computed properties:
* energy: -6.833 eV/atom

```
Li8CrFe7P12O48
1.0
8.6559 0.0000 0.0000
0.0050 8.7830 0.0000
0.0046 0.0415 12.2157
Li Cr Fe P O
8 1 7 12 48
Cartesian
6.7801 2.4485 2.2214
6.7764 1.9942 9.9886
6.2139 6.8394 3.8959
6.2147 6.3725 8.3327
2.4519 2.4462 3.8822
2.4560 1.9587 8.3142
1.8807 6.8352 2.2283
1.8866 6.3797 9.9993
2.1569 4.7614 7.5025
6.5112 0.3845 7.4904
6.5052 4.0461 4.7257
6.4897 8.4293 1.3792
6.4906 4.7892 10.8416
2.1703 4.0396 1.3621
2.1797 0.3881 10.8427
2.1604 8.4536 4.7267
8.3386 6.5979 6.1092
4.6727 2.2383 12.2152
3.9922 6.5862 0.0070
0.3525 2.2390 6.1134
7.7481 5.3399 1.7955
7.7485 7.8781 10.4200
5.2287 3.5035 7.8972
5.2488 0.9563 4.3179
3.4220 7.8465 7.8848
3.4122 5.3401 4.3430
0.9209 3.4872 10.3866
0.9141 0.9513 1.7933
8.1747 3.1775 5.2439
8.1801 1.2989 6.9985
8.0212 0.9269 1.9071
8.0339 3.5172 10.2795
7.4324 7.3493 7.1191
7.3978 5.8235 5.1546
7.3133 4.9715 0.3746
7.3155 8.2443 11.8419
7.2607 6.7516 2.1984
7.2620 6.4643 10.0202
7.1492 4.2802 2.7620
7.1483 0.1600 9.4530
5.8411 8.6713 3.3522
5.8195 4.5592 8.8591
5.6746 2.0770 8.3092
5.7384 2.3670 3.9127
5.6390 3.8339 6.4632
5.6887 0.5922 5.7407
5.6044 1.4309 0.9766
5.6115 3.0045 11.2434
4.9679 7.8607 8.0109
4.9544 5.3226 4.2405
4.8211 7.5353 0.8728
4.8219 5.6797 11.3487
3.8383 3.1413 0.8739
3.8427 1.2928 11.3433
3.6571 3.5536 7.9929
3.6996 0.9346 4.2002
3.0586 5.8197 0.9855
3.0584 7.3880 11.2425
2.9874 8.2172 6.4703
2.9668 4.9950 5.7858
2.9164 6.7500 3.9365
2.9174 6.4235 8.2790
2.8071 4.2705 3.3940
2.8171 0.1117 8.8623
1.5139 8.6747 2.7630
1.5134 4.5498 9.3849
1.4031 2.3673 2.1868
1.4265 2.0770 9.9946
1.3842 3.8929 11.7881
1.3487 0.5849 0.3716
1.3009 3.0165 7.0783
1.2984 1.4645 5.1531
0.6427 7.8999 10.3082
0.6425 5.3125 1.9022
0.5083 7.5424 5.2431
0.5428 5.6225 6.9586
```

=====

| no. | formation energy (eV/atom) |
| --- | --- |
| 1 | -2.5101 |
| 2 | -2.5103 |
| 3 | -2.4503 |
| 4 | -2.4136 |